No. 1
Below is crystalline Hg4SbO6 at its relaxed geometry, with properties calculated at the PBE level.

a b c (Å): 8.624 8.624 4.837
angles (deg): 74.21 74.21 133.64
Sites, in units of the cell vectors:
Hg 0.106 0.894 0.000
Hg 0.894 0.106 0.000
Hg 0.279 0.721 0.000
Hg 0.721 0.279 0.000
Sb 0.500 0.500 0.000
O 0.743 0.743 0.444
O 0.821 0.612 0.946
O 0.612 0.821 0.946
O 0.388 0.179 0.054
O 0.179 0.388 0.054
O 0.257 0.257 0.556

* E_form: -0.733 eV per atom
* symmetry: C2/m, No. 12

=====

No. 2
Below is crystalline Zn3H24C12Br8O6 at its relaxed geometry, with properties calculated at the PBE level.

a b c (Å): 9.233 11.613 15.670
angles (deg): 103.26 91.69 106.94
Sites, in units of the cell vectors:
Zn 0.245 0.851 0.797
Zn 0.755 0.149 0.203
Zn 0.054 0.744 0.003
Zn 0.946 0.256 0.997
Zn 0.471 0.401 0.567
Zn 0.529 0.599 0.433
H 0.359 0.653 0.027
H 0.641 0.347 0.973
H 0.392 0.594 0.916
H 0.608 0.406 0.084
H 0.160 0.452 0.871
H 0.840 0.548 0.129
H 0.001 0.508 0.861
H 0.999 0.492 0.139
H 0.560 0.811 0.980
H 0.440 0.189 0.020
H 0.395 0.863 0.998
H 0.605 0.137 0.002
H 0.118 0.469 0.718
H 0.882 0.531 0.282
H 0.295 0.576 0.769
H 0.705 0.424 0.231
H 0.485 0.716 0.701
H 0.515 0.284 0.299
H 0.637 0.853 0.700
H 0.363 0.147 0.300
H 0.451 0.174 0.729
H 0.549 0.826 0.271
H 0.511 0.117 0.816
H 0.489 0.883 0.184
H 0.881 0.743 0.763
H 0.119 0.257 0.237
H 0.849 0.715 0.645
H 0.151 0.285 0.355
H 0.644 0.934 0.860
H 0.356 0.066 0.140
H 0.637 0.774 0.842
H 0.363 0.226 0.158
H 0.152 0.146 0.736
H 0.848 0.854 0.264
H 0.206 0.042 0.649
H 0.794 0.958 0.351
H 0.595 0.014 0.682
H 0.405 0.986 0.318
H 0.412 0.970 0.622
H 0.588 0.030 0.378
H 0.940 0.946 0.663
H 0.060 0.054 0.337
H 0.976 0.970 0.780
H 0.024 0.030 0.220
H 0.031 0.597 0.622
H 0.969 0.403 0.378
H 0.907 0.540 0.701
H 0.093 0.460 0.299
C 0.350 0.664 0.959
C 0.650 0.336 0.041
C 0.124 0.531 0.859
C 0.876 0.469 0.141
C 0.440 0.794 0.956
C 0.560 0.206 0.044
C 0.172 0.554 0.771
C 0.828 0.446 0.229
C 0.536 0.815 0.732
C 0.464 0.185 0.268
C 0.436 0.091 0.754
C 0.564 0.909 0.246
C 0.933 0.730 0.701
C 0.067 0.270 0.299
C 0.575 0.837 0.830
C 0.425 0.163 0.170
C 0.168 0.054 0.715
C 0.832 0.946 0.285
C 0.472 0.989 0.687
C 0.528 0.011 0.313
C 0.023 0.953 0.717
C 0.977 0.047 0.283
C 0.995 0.621 0.689
C 0.005 0.379 0.311
Br 0.144 0.926 0.935
Br 0.856 0.074 0.065
Br 0.796 0.638 0.955
Br 0.204 0.362 0.045
Br 0.152 0.800 0.153
Br 0.848 0.200 0.847
Br 0.550 0.459 0.720
Br 0.450 0.541 0.280
Br 0.325 0.181 0.509
Br 0.675 0.819 0.491
Br 0.316 0.528 0.523
Br 0.684 0.472 0.477
Br 0.022 0.197 0.547
Br 0.978 0.803 0.453
Br 0.770 0.211 0.571
Br 0.230 0.789 0.429
O 0.127 0.656 0.753
O 0.873 0.344 0.247
O 0.061 0.838 0.703
O 0.939 0.162 0.297
O 0.283 0.047 0.777
O 0.717 0.953 0.223
O 0.422 0.874 0.715
O 0.578 0.126 0.285
O 0.431 0.810 0.867
O 0.569 0.190 0.133
O 0.190 0.639 0.931
O 0.810 0.361 0.069

* E_form: -0.484 eV per atom
* symmetry: P-1, No. 2

=====

No. 3
Below is crystalline Nd4CdSi3O13 at its relaxed geometry, with properties calculated at the PBE level.

a b c (Å): 9.656 9.656 7.015
angles (deg): 90.00 90.00 120.00
Sites, in units of the cell vectors:
Nd 0.333 0.667 0.996
Nd 0.667 0.333 0.496
Nd 0.241 0.008 0.748
Nd 0.767 0.759 0.748
Nd 0.992 0.233 0.748
Nd 0.759 0.992 0.248
Nd 0.233 0.241 0.248
Nd 0.008 0.767 0.248
Cd 0.667 0.333 0.993
Cd 0.333 0.667 0.493
Si 0.029 0.628 0.749
Si 0.599 0.971 0.749
Si 0.372 0.401 0.749
Si 0.971 0.372 0.249
Si 0.401 0.029 0.249
Si 0.628 0.599 0.249
O 0.129 0.530 0.738
O 0.402 0.871 0.738
O 0.470 0.598 0.738
O 0.871 0.470 0.238
O 0.598 0.129 0.238
O 0.530 0.402 0.238
O 0.099 0.743 0.940
O 0.644 0.901 0.940
O 0.257 0.356 0.940
O 0.901 0.257 0.440
O 0.356 0.099 0.440
O 0.743 0.644 0.440
O 0.925 0.245 0.071
O 0.320 0.075 0.071
O 0.755 0.680 0.071
O 0.075 0.755 0.571
O 0.680 0.925 0.571
O 0.245 0.320 0.571
O 0.000 0.000 0.764
O 0.000 0.000 0.264
O 0.835 0.510 0.753
O 0.675 0.165 0.753
O 0.490 0.325 0.753
O 0.165 0.490 0.253
O 0.325 0.835 0.253
O 0.510 0.675 0.253

* E_form: -3.455 eV per atom
* symmetry: P6_3, No. 173

=====

No. 4
Below is crystalline Ce2ZnBi4 at its relaxed geometry, with properties calculated at the PBE level.

a b c (Å): 4.626 4.626 9.839
angles (deg): 90.00 90.00 90.00
Sites, in units of the cell vectors:
Ce 0.500 0.000 0.738
Ce 0.000 0.500 0.262
Zn 0.500 0.500 0.500
Bi 0.500 0.000 0.335
Bi 0.000 0.500 0.665
Bi 0.500 0.500 0.000
Bi 0.000 0.000 0.000

* E_form: -0.510 eV per atom
* symmetry: P-4m2, No. 115

=====

No. 5
Below is crystalline BNCl4 at its relaxed geometry, with properties calculated at the PBE level.

a b c (Å): 15.734 11.345 10.226
angles (deg): 72.14 43.46 49.91
Sites, in units of the cell vectors:
B 0.312 0.129 0.233
B 0.521 0.007 0.844
B 0.941 0.065 0.126
N 0.996 0.066 0.191
N 0.405 0.084 0.047
N 0.688 0.929 0.718
Cl 0.183 0.632 0.950
Cl 0.189 0.188 0.478
Cl 0.174 0.911 0.100
Cl 0.467 0.016 0.736
Cl 0.659 0.548 0.020
Cl 0.070 0.979 0.874
Cl 0.734 0.173 0.304
Cl 0.256 0.424 0.019
Cl 0.686 0.949 0.055
Cl 0.856 0.948 0.946
Cl 0.834 0.751 0.552
Cl 0.834 0.454 0.989

* E_form: -0.529 eV per atom
* symmetry: P1, No. 1

=====

No. 6
Below is crystalline NaYF4 at its relaxed geometry, with properties calculated at the PBE level.

a b c (Å): 6.071 6.071 7.105
angles (deg): 90.00 90.00 120.00
Sites, in units of the cell vectors:
Na 0.000 0.000 0.288
Na 0.000 0.000 0.712
Na 0.333 0.667 0.500
Y 0.667 0.333 0.747
Y 0.667 0.333 0.253
Y 0.333 0.667 0.000
F 0.912 0.306 0.000
F 0.892 0.276 0.500
F 0.694 0.606 0.000
F 0.724 0.616 0.500
F 0.073 0.676 0.764
F 0.073 0.676 0.236
F 0.384 0.108 0.500
F 0.394 0.088 0.000
F 0.324 0.398 0.764
F 0.324 0.398 0.236
F 0.602 0.927 0.764
F 0.602 0.927 0.236

* maximum piezoelectric response: 0.621 C/m²
* E_form: -3.954 eV per atom
* symmetry: P-6, No. 174

=====

No. 7
Below is crystalline Pd3N at its relaxed geometry, with properties calculated at the PBE level.

a b c (Å): 5.137 5.137 4.792
angles (deg): 90.00 90.00 120.00
Sites, in units of the cell vectors:
Pd 0.331 0.331 0.000
Pd 0.669 0.000 0.000
Pd 0.000 0.669 0.000
Pd 0.669 0.669 0.500
Pd 0.331 0.000 0.500
Pd 0.000 0.331 0.500
N 0.333 0.667 0.750
N 0.667 0.333 0.250

* E_form: 0.231 eV per atom
* symmetry: P6_322, No. 182

=====

No. 8
Below is crystalline Sr2YMgCu3O7 at its relaxed geometry, with properties calculated at the PBE level.

a b c (Å): 3.636 3.936 14.353
angles (deg): 89.96 90.13 89.99
Sites, in units of the cell vectors:
Sr 0.501 0.500 0.782
Sr 0.502 0.500 0.077
Y 0.500 0.500 0.527
Mg 0.498 0.999 0.265
Cu 0.000 0.000 0.938
Cu 0.001 0.000 0.651
Cu 0.000 0.001 0.418
O 0.500 0.000 0.604
O 0.499 0.001 0.398
O 0.001 0.000 0.801
O 0.998 0.999 0.195
O 0.000 0.500 0.972
O 0.001 0.500 0.645
O 0.999 0.501 0.434

* E_form: -2.092 eV per atom
* symmetry: Pm, No. 6
* distance to the lowest polymorph of the same formula: 125 meV/atom

=====

No. 9
Below is crystalline Zr2AlCu2 at its relaxed geometry, with properties calculated at the PBE level.

a b c (Å): 7.549 7.549 3.043
angles (deg): 66.02 66.02 32.80
Sites, in units of the cell vectors:
Zr 0.621 0.621 0.259
Zr 0.379 0.379 0.741
Al 0.000 0.000 0.000
Cu 0.197 0.197 0.606
Cu 0.803 0.803 0.394

* E_form: -0.295 eV per atom
* symmetry: C2/m, No. 12

=====

No. 10
Below is crystalline ZnH12C4N5Cl3 at its relaxed geometry, with properties calculated at the PBE level.

a b c (Å): 13.228 7.810 13.527
angles (deg): 90.00 113.94 90.00
Sites, in units of the cell vectors:
Zn 0.280 0.854 0.293
Zn 0.720 0.354 0.207
Zn 0.720 0.146 0.707
Zn 0.280 0.646 0.793
H 0.408 0.449 0.618
H 0.592 0.949 0.882
H 0.592 0.551 0.382
H 0.408 0.051 0.118
H 0.339 0.344 0.494
H 0.661 0.844 0.006
H 0.661 0.656 0.506
H 0.339 0.156 0.994
H 0.138 0.560 0.454
H 0.862 0.060 0.046
H 0.862 0.440 0.546
H 0.138 0.940 0.954
H 0.063 0.409 0.359
H 0.937 0.909 0.141
H 0.937 0.591 0.641
H 0.063 0.091 0.859
H 0.380 0.863 0.512
H 0.620 0.363 0.988
H 0.620 0.137 0.488
H 0.380 0.637 0.012
H 0.455 0.731 0.622
H 0.545 0.231 0.878
H 0.545 0.269 0.378
H 0.455 0.769 0.122
H 0.999 0.436 0.183
H 0.001 0.936 0.317
H 0.001 0.564 0.817
H 0.999 0.064 0.683
H 0.056 0.351 0.094
H 0.944 0.851 0.406
H 0.944 0.649 0.906
H 0.056 0.149 0.594
H 0.069 0.232 0.212
H 0.931 0.732 0.288
H 0.931 0.768 0.788
H 0.069 0.268 0.712
H 0.332 0.497 0.249
H 0.668 0.997 0.251
H 0.668 0.503 0.751
H 0.332 0.003 0.749
H 0.275 0.294 0.192
H 0.725 0.794 0.308
H 0.725 0.706 0.808
H 0.275 0.206 0.692
H 0.227 0.487 0.115
H 0.773 0.987 0.385
H 0.773 0.513 0.885
H 0.227 0.013 0.615
C 0.351 0.608 0.486
C 0.649 0.108 0.014
C 0.649 0.392 0.514
C 0.351 0.892 0.986
C 0.194 0.519 0.335
C 0.806 0.019 0.165
C 0.806 0.481 0.665
C 0.194 0.981 0.835
C 0.068 0.362 0.179
C 0.932 0.862 0.321
C 0.932 0.638 0.821
C 0.068 0.138 0.679
C 0.257 0.431 0.196
C 0.743 0.931 0.304
C 0.743 0.569 0.804
C 0.257 0.069 0.696
N 0.367 0.455 0.536
N 0.633 0.955 0.964
N 0.633 0.545 0.464
N 0.367 0.045 0.036
N 0.284 0.626 0.380
N 0.716 0.126 0.120
N 0.716 0.374 0.620
N 0.284 0.874 0.880
N 0.172 0.448 0.239
N 0.828 0.948 0.261
N 0.828 0.552 0.761
N 0.172 0.052 0.739
N 0.124 0.499 0.383
N 0.876 0.999 0.117
N 0.876 0.501 0.617
N 0.124 0.001 0.883
N 0.408 0.743 0.541
N 0.592 0.243 0.959
N 0.592 0.257 0.459
N 0.408 0.757 0.041
Cl 0.134 0.843 0.129
Cl 0.866 0.343 0.371
Cl 0.866 0.157 0.871
Cl 0.134 0.657 0.629
Cl 0.449 0.886 0.290
Cl 0.551 0.386 0.210
Cl 0.551 0.114 0.710
Cl 0.449 0.614 0.790
Cl 0.251 0.057 0.402
Cl 0.749 0.557 0.098
Cl 0.749 0.943 0.598
Cl 0.251 0.443 0.902

* E_form: -0.450 eV per atom
* symmetry: P2_1/c, No. 14

=====

No. 11
Below is crystalline Sn14Sb11Pt8 at its relaxed geometry, with properties calculated at the PBE level.

a b c (Å): 9.501 9.521 9.581
angles (deg): 90.27 90.29 90.23
Sites, in units of the cell vectors:
Sn 0.154 0.334 0.999
Sn 0.651 0.161 0.496
Sn 0.337 0.842 0.498
Sn 0.337 0.997 0.850
Sn 0.664 0.997 0.153
Sn 0.497 0.664 0.860
Sn 0.500 0.652 0.168
Sn 0.154 0.496 0.655
Sn 0.665 0.851 0.493
Sn 0.840 0.495 0.655
Sn 0.520 0.568 0.560
Sn 0.847 0.337 0.998
Sn 0.000 0.848 0.337
Sn 0.998 0.153 0.337
Sb 0.997 0.845 0.650
Sb 0.154 0.648 0.997
Sb 0.846 0.498 0.345
Sb 0.498 0.343 0.843
Sb 0.845 0.650 0.996
Sb 0.652 0.996 0.846
Sb 0.347 0.996 0.156
Sb 0.500 0.345 0.155
Sb 0.160 0.497 0.347
Sb 0.344 0.153 0.500
Sb 0.997 0.156 0.651
Pt 0.252 0.248 0.250
Pt 0.245 0.748 0.750
Pt 0.249 0.246 0.749
Pt 0.247 0.747 0.246
Pt 0.746 0.244 0.750
Pt 0.755 0.745 0.245
Pt 0.748 0.251 0.248
Pt 0.748 0.748 0.748

* E_form: -0.337 eV per atom
* symmetry: P1, No. 1